# MnZnAu2, relaxed, DFT PBE
data_MnZnAu2
_chemical_formula_sum 'Mn1 Zn1 Au2'
_cell_length_a 4.526
_cell_length_b 4.526
_cell_length_c 4.526
_cell_angle_alpha 60.00
_cell_angle_beta 60.00
_cell_angle_gamma 60.00
_space_group_name_H-M_alt 'P 1'
_space_group_IT_number 1
loop_
_space_group_symop_operation_xyz
'x,y,z'
loop_
_atom_site_label
_atom_site_fract_x
_atom_site_fract_y
_atom_site_fract_z
_atom_site_occupancy
Au1 0.250 0.250 0.250 1
Zn1 0.000 0.000 0.000 1
Au2 0.750 0.750 0.750 1
Mn1 0.500 0.500 0.500 1
# * formation enthalpy at 0 K: -145 meV/atom
# * space-group type: Fm-3m